# KAl2Si4H2O12

A relaxed KAl2Si4H2O12 crystal (PBE, the Materials Project).

a b c (Å): 5.2565 9.1635 20.7548
angles (deg): 90.00 96.07 90.00
Closest atoms and distances in Å follow each position.
Space group C2/c (No. 15)
Unique sites:
K: 0.0000 0.0967 0.2500  10 O 3.02-3.31
Al: 0.2465 0.0826 0.9996  6 O 1.91-1.99
Si: 0.0372 0.4317 0.3682  4 O 1.65-1.66
Si: 0.0522 0.2404 0.8678  4 O 1.65-1.66
H: 0.1241 0.1473 0.4370  1 O 0.98
O: 0.0356 0.4473 0.4473  1 Si 1.65
O: 0.0401 0.0591 0.4510  1 H 0.98
O: 0.0627 0.4051 0.8349  2 Si 1.66
O: 0.1217 0.2480 0.9470  1 Si 1.65
O: 0.2349 0.1736 0.6553  2 Si 1.65
O: 0.2365 0.3616 0.1657  2 Si 1.66

Output
- Formation energy: -2.84 eV per atom

=====

# LaAlH6

A relaxed LaAlH6 crystal (PBE, the Materials Project).

a b c (Å): 6.5243 6.5243 6.2875
angles (deg): 90.00 90.00 120.00
Closest atoms and distances in Å follow each position.
Space group R-3m (No. 166, hexagonal axes)
Unique sites:
La: 0.0000 0.0000 0.0000  12 H 2.43-2.44
Al: 0.0000 0.0000 0.5000  6 H 1.74
H: 0.0968 0.5484 0.3428  1 Al 1.74

Output
- Formation energy: -0.46 eV per atom

=====

# La2AlNi9H12

A relaxed La2AlNi9H12 crystal (PBE, the Materials Project).

a b c (Å): 5.9403 9.4487 7.8107
angles (deg): 90.00 90.00 90.00
Closest atoms and distances in Å follow each position.
Space group Cmmm (No. 65)
Unique sites:
La: 0.0000 0.0000 0.2487  12 H 2.46-2.71
Al: 0.0000 0.5000 0.0000  4 H 1.90
Ni: 0.0000 0.3455 0.2472  6 H 2.37-2.66, 1 Al 2.42, 5 Ni 2.46-2.63
Ni: 0.0000 0.5000 0.5000  4 H 1.59
Ni: 0.2500 0.2500 0.0000  4 H 1.56
Ni: 0.2500 0.2500 0.5000  4 H 1.56-1.61
H: 0.0000 0.1849 0.5000  2 Ni 1.61
H: 0.0000 0.1993 0.0000  2 Ni 1.56, 2 H 1.64
H: 0.2118 0.0872 0.0000  1 Ni 1.56, 2 H 1.64-1.65
H: 0.2306 0.4148 0.5000  2 Ni 1.56-1.59, 1 H 1.61

Output
- Formation energy: -0.17 eV per atom

=====

# LiMgAl3H12

A relaxed LiMgAl3H12 crystal (PBE, the Materials Project).

a b c (Å): 8.4961 8.8397 14.5524
angles (deg): 90.00 124.88 90.00
Closest atoms and distances in Å follow each position.
Space group P2_1/c (No. 14)
Unique sites:
Li: 0.1288 0.0290 0.3819  6 H 1.92-2.10
Mg: 0.3672 0.0300 0.1151  6 H 1.89-1.92
Al: 0.0391 0.7498 0.0020  4 H 1.61-1.65
Al: 0.2389 0.1267 0.8490  4 H 1.60-1.64
Al: 0.4748 0.6210 0.8595  4 H 1.60-1.64
H: 0.0066 0.6283 0.9106  1 Al 1.61
H: 0.0459 0.6860 0.1077  1 Al 1.61
H: 0.0509 0.0228 0.7800  1 Al 1.60
H: 0.1298 0.1224 0.0642  1 Al 1.64
H: 0.2134 0.1937 0.3299  1 Al 1.61
H: 0.2380 0.6567 0.5459  1 Al 1.65
H: 0.3091 0.0676 0.5456  1 Al 1.61
H: 0.3298 0.6216 0.8967  1 Al 1.60
H: 0.3492 0.0925 0.9835  1 Al 1.64
H: 0.3850 0.5126 0.7488  1 Al 1.64
H: 0.3949 0.0723 0.8233  1 Al 1.64
H: 0.4875 0.7115 0.3150  1 Al 1.64

Output
- Formation energy: -0.19 eV per atom

=====

> Which value of formation energy does entry 3 give?

-0.17 eV per atom

=====

What did the first record say?
# KAl2Si4H2O12

A relaxed KAl2Si4H2O12 crystal (PBE, the Materials Project).

a b c (Å): 5.2565 9.1635 20.7548
angles (deg): 90.00 96.07 90.00
Closest atoms and distances in Å follow each position.
Space group C2/c (No. 15)
Unique sites:
K: 0.0000 0.0967 0.2500  10 O 3.02-3.31
Al: 0.2465 0.0826 0.9996  6 O 1.91-1.99
Si: 0.0372 0.4317 0.3682  4 O 1.65-1.66
Si: 0.0522 0.2404 0.8678  4 O 1.65-1.66
H: 0.1241 0.1473 0.4370  1 O 0.98
O: 0.0356 0.4473 0.4473  1 Si 1.65
O: 0.0401 0.0591 0.4510  1 H 0.98
O: 0.0627 0.4051 0.8349  2 Si 1.66
O: 0.1217 0.2480 0.9470  1 Si 1.65
O: 0.2349 0.1736 0.6553  2 Si 1.65
O: 0.2365 0.3616 0.1657  2 Si 1.66

Output
- Formation energy: -2.84 eV per atom